# 1
VASP calculation (PBE with a Hubbard U) on an optimized crystal structure of CrC21O6.

Lattice parameters (Å, degrees): 11.8659 10.7516 18.5839 55.09 90.00 90.00
Positions (direct):
C1 0.4826 0.1692 0.6117
C2 0.0345 0.3049 0.6409
C3 0.9863 0.5675 0.1654
C4 0.0176 0.7962 0.1199
O1 0.1219 0.9758 0.6021
O2 0.4380 0.0966 0.8597
C5 0.0386 0.9253 0.6554
C6 0.4851 0.1450 0.6904
C7 0.8164 0.4622 0.4480
C8 0.9458 0.2638 0.4550
C9 0.1261 0.7830 0.1423
C10 0.7297 0.5847 0.9365
O3 0.7268 0.8700 0.5618
C11 0.5542 0.2638 0.9550
C12 0.6610 0.0999 0.7210
C13 0.1610 0.9001 0.7790
C14 0.3096 0.2709 0.4025
C15 0.9826 0.8308 0.8883
C16 0.9158 0.4165 0.4299
Cr1 0.8766 0.9488 0.5259
C17 0.1280 0.6345 0.1762
O4 0.7553 0.6218 0.1102
C18 0.0942 0.8537 0.8856
C19 0.9851 0.8550 0.8096
O5 0.7447 0.6218 0.6102
C20 0.6836 0.4622 0.9480
C21 0.0842 0.5835 0.5701
O6 0.2268 0.1300 0.9382
C22 0.9141 0.4989 0.8017
C23 0.9655 0.6951 0.3591
C24 0.0607 0.8915 0.7430
C25 0.5345 0.6951 0.8591
C26 0.3018 0.8845 0.3514
C27 0.0859 0.5011 0.1983
C28 0.3164 0.5378 0.0520
C29 0.4458 0.7362 0.0450
O7 0.2447 0.3782 0.8898
C30 0.0542 0.7362 0.5450
C31 0.5607 0.1085 0.7570
O8 0.2553 0.3782 0.3898
C32 0.4863 0.4325 0.3346
C33 0.2297 0.4153 0.5635
O9 0.2732 0.1300 0.4382
C34 0.6982 0.1155 0.6486
C35 0.5942 0.1463 0.6144
Cr2 0.1234 0.0512 0.4741
C36 0.8616 0.6679 0.3937
C37 0.8018 0.1155 0.1486
C38 0.5149 0.8550 0.3096
C39 0.9058 0.1463 0.1144
C40 0.9305 0.7061 0.1243
O10 0.9380 0.9034 0.6403
C41 0.0149 0.1450 0.1904
C42 0.5842 0.4165 0.9299
C43 0.4824 0.7962 0.6199
O11 0.4519 0.2407 0.9458
O12 0.6219 0.0242 0.8979
O13 0.8658 0.1665 0.4847
C44 0.5227 0.5515 0.8855
C45 0.0227 0.4485 0.6145
C46 0.3720 0.6345 0.6762
C47 0.2703 0.4153 0.0635
C48 0.9393 0.1085 0.2570
O14 0.6342 0.1665 0.9847
C49 0.5137 0.5675 0.6654
C50 0.5386 0.0747 0.8446
C51 0.4393 0.8915 0.2430
C52 0.7703 0.5847 0.4365
C53 0.5174 0.8308 0.3883
C54 0.6384 0.6679 0.8937
C55 0.9614 0.0747 0.3446
C56 0.5695 0.7061 0.6243
O15 0.8781 0.0242 0.3979
O16 0.0481 0.2407 0.4458
C57 0.6904 0.7291 0.5975
O17 0.3658 0.8335 0.0153
C58 0.8739 0.2170 0.8577
C59 0.5859 0.4989 0.3017
O18 0.9519 0.7593 0.5542
Cr3 0.3766 0.0512 0.9741
O19 0.1342 0.8335 0.5153
C60 0.0695 0.2939 0.8757
O20 0.5620 0.9034 0.1403
C61 0.3390 0.9001 0.2790
C62 0.1982 0.8845 0.8514
C63 0.4158 0.5835 0.0701
O21 0.3781 0.9758 0.1021
C64 0.8096 0.7291 0.0975
C65 0.9773 0.5515 0.3855
O22 0.5481 0.7593 0.0542
C66 0.4614 0.9253 0.1554
C67 0.9824 0.2038 0.8801
C68 0.1384 0.3321 0.6063
C69 0.6280 0.3655 0.3238
C70 0.3739 0.7830 0.6423
O23 0.7732 0.8700 0.0618
C71 0.8390 0.0999 0.2210
C72 0.8720 0.3655 0.8238
C73 0.4141 0.5011 0.6983
C74 0.0174 0.1692 0.1117
C75 0.1904 0.2709 0.9025
C76 0.6261 0.2170 0.3577
C77 0.4655 0.3049 0.1409
C78 0.1836 0.5378 0.5520
C79 0.4773 0.4485 0.1145
C80 0.3616 0.3321 0.1063
Cr4 0.6234 0.9488 0.0259
C81 0.4305 0.2939 0.3757
C82 0.4058 0.8537 0.3856
C83 0.0137 0.4325 0.8346
C84 0.5176 0.2038 0.3801
O24 0.0620 0.0966 0.3597

Values from the calculation:
The formation energy is 0.5725 eV per atom. As for the total DFT energy (no corrections): -7.535 eV per atom. Its space group is P2_1/c.

***

# 2
VASP calculation (PBE with a Hubbard U) on an optimized crystal structure of NaCrW2O8.

Lattice parameters (Å, degrees): 5.8062 5.0842 9.9799 89.15 90.00 90.00
Positions (direct):
O1 0.6239 0.1196 0.3531
O2 0.8759 0.9204 0.1235
O3 0.1241 0.4204 0.1235
O4 0.3789 0.5911 0.8931
O5 0.6239 0.3804 0.6469
W1 0.1747 0.7632 0.7662
Na1 0.6868 0.7500 0.5000
Na2 0.3132 0.2500 0.5000
W2 0.1747 0.7368 0.2338
Cr1 0.6478 0.7500 0.0000
O6 0.1241 0.0796 0.8765
O7 0.0915 0.4499 0.6720
O8 0.0915 0.0501 0.3280
O9 0.6211 0.0911 0.8931
O10 0.3761 0.8804 0.6469
O11 0.3761 0.6196 0.3531
W3 0.8253 0.2632 0.7662
O12 0.9085 0.5501 0.3280
O13 0.9085 0.9499 0.6720
O14 0.6211 0.4089 0.1069
O15 0.3789 0.9089 0.1069
W4 0.8253 0.2368 0.2338
O16 0.8759 0.5796 0.8765
Cr2 0.3522 0.2500 0.0000

Values from the calculation:
The formation energy is -2.2468 eV per atom. As for the total DFT energy (no corrections): -7.256 eV per atom. Its space group is P2/c.

***

# 3
VASP calculation (PBE with a Hubbard U) on an optimized crystal structure of LiCoPO4.

Lattice parameters (Å, degrees): 5.1693 8.9529 10.7335 114.66 103.87 90.00
Positions (direct):
O1 0.2418 0.6259 0.2031
Li1 0.6147 0.6152 0.2302
O2 0.7107 0.3772 0.4224
Co1 0.5626 0.8959 0.1254
O3 0.2120 0.8281 0.7042
Li2 0.1147 0.1151 0.2302
O4 0.4611 0.7937 0.9223
O5 0.2114 0.8774 0.4223
Co2 0.3131 0.9794 0.6255
O6 0.7083 0.0439 0.7034
P1 0.6300 0.2968 0.2606
Co3 0.0626 0.3960 0.1255
O7 0.6357 0.6842 0.7034
O8 0.1355 0.1842 0.7033
Li3 0.3651 0.3652 0.7302
O9 0.7418 0.1259 0.2032
Co4 0.8131 0.4794 0.6256
Li4 0.8653 0.8653 0.7302
O10 0.2084 0.5437 0.7031
O11 0.2450 0.9099 0.2037
O12 0.7452 0.4100 0.2040
P2 0.1301 0.7969 0.2605
P3 0.3804 0.7136 0.7605
O13 0.3179 0.2697 0.2039
O14 0.9616 0.2939 0.9224
O15 0.7120 0.3282 0.7043
P4 0.8804 0.2137 0.7605
O16 0.8180 0.7698 0.2040

Values from the calculation:
The formation energy is -2.3587 eV per atom. As for the total DFT energy (no corrections): -6.621 eV per atom.

***

# 4
VASP calculation (PBE with a Hubbard U) on an optimized crystal structure of Li2MnF4.

Lattice parameters (Å, degrees): 6.6867 6.6867 8.2866 67.72 67.72 33.50
Positions (direct):
Li1 0.6085 0.6085 0.2265
Mn1 0.6935 0.6935 0.7379
F1 0.3525 0.3525 0.0067
Li2 0.3915 0.3915 0.7735
F2 0.8816 0.8816 0.6654
F3 0.4489 0.4489 0.3395
F4 0.5511 0.5511 0.6605
Mn2 0.3065 0.3065 0.2621
F5 0.6475 0.6475 0.9933
Li3 0.9354 0.9354 0.4092
F6 0.7929 0.7929 0.3621
Li4 0.0646 0.0646 0.5908
F7 0.2071 0.2071 0.6379
F8 0.1184 0.1184 0.3346

Values from the calculation:
The formation energy is -2.9767 eV per atom. As for the total DFT energy (no corrections): -5.423 eV per atom. Its space group is C2/m.

***

# 5
VASP calculation (PBE with a Hubbard U) on an optimized crystal structure of Li5Mn3P4O16.

Lattice parameters (Å, degrees): 4.7786 10.5472 6.0096 90.00 90.00 90.87
Positions (direct):
P1 0.5894 0.9090 0.7500
O1 0.7225 0.8381 0.9542
Li1 0.9984 0.0113 0.0077
P2 0.0785 0.5895 0.2500
P3 0.4277 0.0965 0.2500
Mn1 0.5012 0.2235 0.7500
O2 0.7225 0.8381 0.5459
Li2 0.9984 0.0113 0.4923
Li3 0.9835 0.2791 0.2500
O3 0.2992 0.1646 0.0398
Li4 0.4923 0.4936 0.4925
O4 0.7666 0.3301 0.5491
O5 0.7469 0.0957 0.2500
Mn2 0.5102 0.7824 0.2500
Li5 0.4924 0.4935 0.0075
O6 0.2992 0.1646 0.4601
O7 0.2906 0.9607 0.2500
O8 0.7898 0.5393 0.7500
O9 0.2285 0.3999 0.7500
P4 0.9086 0.4035 0.7500
O10 0.2165 0.6621 0.0462
Mn3 0.0165 0.7213 0.7502
O11 0.7573 0.5966 0.2500
O12 0.7175 0.0453 0.7500
O13 0.2164 0.6620 0.4539
O14 0.7666 0.3301 0.9508
O15 0.2694 0.9043 0.7500
O16 0.1933 0.4541 0.2499

Values from the calculation:
The formation energy is -2.6149 eV per atom. As for the total DFT energy (no corrections): -6.967 eV per atom. Its space group is Pm.

***

# 6
VASP calculation (PBE with a Hubbard U) on an optimized crystal structure of BaFeBP2O9.

Lattice parameters (Å, degrees): 5.3547 8.1736 8.2362 88.53 87.70 80.02
Positions (direct):
B1 0.1201 0.4572 0.2566
O1 0.2465 0.0464 0.1960
P1 0.7772 0.8179 0.9429
O2 0.8649 0.5329 0.3310
O3 0.0103 0.8019 0.4172
P2 0.2052 0.3031 0.5729
O4 0.0521 0.3376 0.1378
O5 0.9479 0.6624 0.8622
B2 0.8799 0.5428 0.7434
O6 0.7535 0.9536 0.8040
Ba1 0.7243 0.1295 0.3106
O7 0.5070 0.7886 0.9904
P3 0.2228 0.1821 0.0571
O8 0.5453 0.8036 0.3692
O9 0.2692 0.3484 0.3918
O10 0.4547 0.1964 0.6308
O11 0.9211 0.8625 0.0875
O12 0.7310 0.4338 0.8083
P4 0.7948 0.6969 0.4271
Fe1 0.2736 0.7891 0.1935
O13 0.1351 0.4671 0.6690
O14 0.9897 0.1981 0.5828
O15 0.2690 0.5662 0.1917
O16 0.7308 0.6516 0.6082
Ba2 0.2757 0.8705 0.6894
O17 0.4930 0.2114 0.0096
O18 0.0789 0.1375 0.9125
Fe2 0.7264 0.2109 0.8065

Values from the calculation:
The formation energy is -2.7501 eV per atom. As for the total DFT energy (no corrections): -7.321 eV per atom. Its space group is P-1.

***

# 7
VASP calculation (PBE with a Hubbard U) on an optimized crystal structure of Fe10OF19.

Lattice parameters (Å, degrees): 4.7922 8.1653 10.1337 73.09 89.48 89.68
Positions (direct):
F1 0.8027 0.6421 0.7767
F2 0.1976 0.7597 0.0218
Fe1 0.4986 0.0994 0.6994
F3 0.1997 0.3624 0.2185
Fe2 0.4773 0.9052 0.3109
Fe3 0.9996 0.4012 0.7992
F4 0.7989 0.0404 0.5805
F5 0.8017 0.2390 0.9811
F6 0.3005 0.2634 0.5210
F7 0.8030 0.4376 0.3794
Fe4 0.9956 0.9982 0.0013
F8 0.3001 0.4596 0.9205
F9 0.6995 0.3402 0.6806
F10 0.1992 0.1596 0.8222
F11 0.3000 0.8594 0.7234
F12 0.3080 0.0509 0.1241
F13 0.7861 0.8425 0.1854
Fe5 0.0147 0.1906 0.3995
F14 0.6992 0.5399 0.0799
Fe6 0.0147 0.8050 0.5925
Fe7 0.4994 0.3005 0.0995
Fe8 0.9945 0.6016 0.2009
O1 0.2062 0.9585 0.4169
F15 0.6992 0.9399 0.8810
F16 0.6953 0.1310 0.2791
Fe9 0.5027 0.4986 0.4999
F17 0.6955 0.7451 0.4719
F18 0.3083 0.6689 0.3150
Fe10 0.5014 0.7002 0.8988
F19 0.2008 0.5592 0.6191

Values from the calculation:
The formation energy is -2.5138 eV per atom. As for the total DFT energy (no corrections): -5.647 eV per atom. Its space group is P1.

***

# 8
VASP calculation (PBE with a Hubbard U) on an optimized crystal structure of Li4Mn3Fe3Cu2O16.

Lattice parameters (Å, degrees): 5.8760 5.8358 9.5754 90.00 89.31 119.77
Positions (direct):
Mn1 0.8293 0.6604 0.7140
O1 0.5274 0.4883 0.8359
Mn2 0.8293 0.1690 0.7140
O2 0.0413 0.5207 0.3401
O3 0.8313 0.6732 0.1031
O4 0.1577 0.8337 0.6034
Li1 0.3388 0.6695 0.8957
Li2 0.0004 0.0002 0.4954
Mn3 0.6577 0.8289 0.2139
Fe1 0.1668 0.8302 0.2126
Li3 0.9960 0.9979 0.9966
O5 0.3447 0.6724 0.1035
O6 0.4876 0.9618 0.3375
O7 0.1576 0.3239 0.6034
O8 0.9861 0.9931 0.3096
O9 0.6837 0.8418 0.6053
O10 0.3269 0.1635 0.1014
O11 0.9631 0.4816 0.8315
Fe2 0.1668 0.3367 0.2125
Cu1 0.6610 0.3305 0.9881
Li4 0.6701 0.3351 0.3962
O12 0.9867 0.9934 0.8105
Cu2 0.3264 0.6632 0.4879
Fe3 0.3358 0.1679 0.7128
O13 0.5274 0.0392 0.8359
O14 0.8313 0.1582 0.1031
O15 0.4877 0.5260 0.3375
O16 0.6809 0.3405 0.6065

Values from the calculation:
The formation energy is -1.6854 eV per atom. As for the total DFT energy (no corrections): -6.154 eV per atom. Its space group is Cm.

***

# 9
VASP calculation (PBE with a Hubbard U) on an optimized crystal structure of CrBiO4.

Lattice parameters (Å, degrees): 6.1085 6.1717 9.8106 83.55 84.21 73.96
Positions (direct):
O1 0.7846 0.4259 0.1531
O2 0.4180 0.7762 0.1449
O3 0.3714 0.3552 0.5657
O4 0.0821 0.7235 0.3555
O5 0.3237 0.3076 0.1135
O6 0.6283 0.6445 0.4345
O7 0.8717 0.8551 0.0658
Cr1 0.1873 0.1876 0.5623
O8 0.6761 0.6922 0.8867
O9 0.2152 0.5741 0.8472
O10 0.8236 0.8075 0.6135
O11 0.1285 0.1446 0.9345
Cr2 0.3125 0.3128 0.9373
Bi1 0.9376 0.9375 0.8124
O12 0.2843 0.9261 0.6528
O13 0.1760 0.1923 0.3864
O14 0.7153 0.0739 0.3472
O15 0.5820 0.2235 0.8554
O16 0.9178 0.2763 0.6448
Bi2 0.5630 0.5630 0.6871
Cr3 0.8126 0.8127 0.4373
Bi3 0.0631 0.0629 0.1871
Bi4 0.4376 0.4375 0.3125
Cr4 0.6877 0.6874 0.0625

Values from the calculation:
The formation energy is -1.7386 eV per atom. As for the total DFT energy (no corrections): -6.503 eV per atom.

***

> Look up the formation energy of the second one.

-2.2468 eV per atom

***

> Which of these has the highest total DFT energy (no corrections)?

Li2MnF4

***

> Which of these has the lowest total DFT energy (no corrections)?

CrC21O6

***

> Which value of total DFT energy (no corrections) does entry 5 give?

-6.967 eV per atom